Na10La7NbSi6S6O48: optimized geometry, PBE-GGA.

Unit cell a=19.1890 b=9.6296 c=24.3866 alpha=90.14 beta=89.63 gamma=120.12
Fractional coordinates of all 234 atoms:
O (0.7751, 0.8908, 0.3666)
O (0.7452, 0.3449, 0.4180)
O (0.0899, 0.1682, 0.0922)
O (0.4362, 0.3191, 0.5357)
O (0.9058, 0.0201, 0.7974)
O (0.1609, 0.4594, 0.0813)
O (0.7694, 0.6502, 0.8635)
O (0.4541, 0.5569, 0.1480)
O (0.4213, 0.3112, 0.2431)
O (0.0884, 0.0186, 0.6021)
O (0.6760, 0.4479, 0.3640)
O (0.5979, 0.0046, 0.9174)
O (0.3363, 0.5290, 0.2410)
O (0.0833, 0.9878, 0.1955)
O (0.9170, 0.0096, 0.0907)
O (0.4445, 0.3435, 0.6351)
O (0.9310, 0.3318, 0.9210)
O (0.0751, 0.4729, 0.5783)
O (0.7284, 0.1335, 0.5358)
O (0.5047, 0.7879, 0.6998)
O (0.9955, 0.1648, 0.5971)
O (0.4895, 0.7774, 0.7985)
O (0.7299, 0.1358, 0.2381)
O (0.7220, 0.0978, 0.6349)
O (0.9501, 0.3663, 0.6457)
O (0.8256, 0.1387, 0.4177)
O (0.0841, 0.4588, 0.2447)
O (0.3952, 0.9721, 0.4158)
O (0.0053, 0.8110, 0.4190)
O (0.0992, 0.0059, 0.9168)
O (0.2512, 0.6643, 0.5834)
O (0.6701, 0.4536, 0.4637)
O (0.5599, 0.4499, 0.9657)
O (0.7294, 0.3498, 0.1427)
O (0.0500, 0.4513, 0.8639)
O (0.7733, 0.8844, 0.4668)
O (0.1656, 0.4508, 0.4660)
O (0.2378, 0.3378, 0.7450)
O (0.9190, 0.3103, 0.2415)
O (0.8212, 0.5569, 0.6479)
O (0.9847, 0.1829, 0.3004)
O (0.5035, 0.1778, 0.1943)
O (0.3372, 0.1396, 0.7494)
O (0.6138, 0.0233, 0.2957)
O (0.4975, 0.8208, 0.4196)
O (0.4945, 0.8385, 0.0999)
O (0.4106, 0.8360, 0.5849)
O (0.5534, 0.6610, 0.3542)
O (0.8501, 0.1276, 0.0409)
O (0.0056, 0.8020, 0.6941)
O (0.7730, 0.8591, 0.0823)
O (0.9221, 0.5712, 0.0432)
O (0.2425, 0.1023, 0.6346)
O (0.4319, 0.5740, 0.0388)
O (0.1631, 0.8832, 0.9662)
O (0.5837, 0.1649, 0.1010)
O (0.8336, 0.5178, 0.2429)
O (0.1535, 0.8424, 0.5769)
O (0.8622, 0.5673, 0.5413)
O (0.2442, 0.3615, 0.4142)
O (0.2444, 0.1407, 0.9191)
O (0.1682, 0.4566, 0.3661)
O (0.7702, 0.6643, 0.9750)
O (0.3955, 0.0026, 0.7957)
O (0.0736, 0.6858, 0.7444)
O (0.1091, 0.0340, 0.3020)
O (0.7675, 0.7125, 0.2486)
O (0.9569, 0.5693, 0.1492)
O (0.2694, 0.8793, 0.3664)
O (0.9316, 0.5172, 0.4130)
O (0.4168, 0.0164, 0.0908)
O (0.2112, 0.2983, 0.0366)
O (0.1056, 0.2063, 0.8089)
O (0.2198, 0.3371, 0.1359)
O (0.6084, 0.1993, 0.8111)
O (0.7670, 0.6961, 0.5775)
O (0.4145, 0.8408, 0.1972)
O (0.5667, 0.6654, 0.4643)
O (0.0841, 0.1780, 0.6981)
O (0.2683, 0.6442, 0.8547)
O (0.4073, 0.8156, 0.9161)
O (0.6017, 0.1970, 0.7008)
O (0.0588, 0.6662, 0.3666)
O (0.8320, 0.0931, 0.1401)
O (0.2715, 0.8632, 0.0827)
O (0.1420, 0.8244, 0.2466)
O (0.0806, 0.6894, 0.0803)
O (0.4873, 0.1787, 0.5859)
O (0.0019, 0.1726, 0.1929)
O (0.2671, 0.8442, 0.7500)
O (0.9276, 0.5462, 0.7433)
O (0.2371, 0.1501, 0.2380)
O (0.7434, 0.1403, 0.9165)
O (0.3247, 0.5401, 0.6381)
O (0.6639, 0.8766, 0.9603)
O (0.4176, 0.5028, 0.4152)
O (0.5826, 0.6938, 0.0832)
O (0.5940, 0.9896, 0.1971)
O (0.4279, 0.5325, 0.7478)
O (0.8421, 0.1585, 0.7391)
O (0.0643, 0.4631, 0.9630)
O (0.4922, 0.1876, 0.3019)
O (0.9935, 0.8428, 0.0960)
O (0.2736, 0.8775, 0.4665)
O (0.3493, 0.1293, 0.0402)
O (0.2107, 0.1519, 0.5330)
O (0.7139, 0.2939, 0.0327)
O (0.3383, 0.5577, 0.5273)
O (0.2698, 0.7187, 0.2467)
O (0.1713, 0.8935, 0.8669)
O (0.6798, 0.8707, 0.5778)
O (0.6686, 0.9024, 0.8606)
O (0.5139, 0.2082, 0.9151)
O (0.4027, 0.7806, 0.3055)
O (0.3314, 0.0981, 0.1396)
O (0.5981, 0.2008, 0.4173)
O (0.8183, 0.4853, 0.9193)
O (0.0535, 0.6594, 0.4669)
O (0.4303, 0.3337, 0.9193)
O (0.3268, 0.1300, 0.4164)
O (0.3864, 0.9884, 0.6962)
O (0.9082, 0.8231, 0.1942)
O (0.3156, 0.4850, 0.9179)
O (0.7640, 0.8343, 0.7430)
O (0.8998, 0.9928, 0.4197)
O (0.5857, 0.4659, 0.2455)
O (0.5993, 0.0024, 0.5806)
O (0.7441, 0.3151, 0.7539)
O (0.5535, 0.4584, 0.8663)
O (0.0182, 0.2126, 0.9173)
O (0.9109, 0.8178, 0.9201)
O (0.9091, 0.9925, 0.6909)
O (0.9083, 0.7821, 0.3009)
O (0.1431, 0.4691, 0.7458)
O (0.2605, 0.6644, 0.9644)
O (0.6670, 0.4830, 0.7517)
O (0.5670, 0.4707, 0.5822)
O (0.6708, 0.4921, 0.0833)
O (0.5763, 0.6934, 0.7536)
O (0.9259, 0.8350, 0.5984)
O (0.0963, 0.2015, 0.4173)
O (0.9188, 0.2763, 0.5398)
O (0.6482, 0.8456, 0.2458)
O (0.9978, 0.7888, 0.7941)
Na (0.8365, 0.9747, 0.5827)
Na (0.3484, 0.3439, 0.3331)
Na (0.8273, 0.0051, 0.2477)
Na (0.1541, 0.6621, 0.1645)
Na (0.1852, 0.3539, 0.2466)
Na (0.3247, 0.0146, 0.2450)
Na (0.1630, 0.6576, 0.6615)
Na (0.9940, 0.3433, 0.7424)
Na (0.3283, 0.3301, 0.8377)
Na (0.6727, 0.6306, 0.6699)
Na (0.6735, 0.3151, 0.9157)
Na (0.8110, 0.6252, 0.7442)
Na (0.3569, 0.6659, 0.4176)
Na (0.8264, 0.3369, 0.8383)
Na (0.4877, 0.9557, 0.0030)
Na (0.0092, 0.7012, 0.5903)
Na (0.8304, 0.6785, 0.0755)
Na (0.6926, 0.0213, 0.7556)
Na (0.8432, 0.3505, 0.3303)
Na (0.3295, 0.9618, 0.5889)
Na (0.5049, 0.9641, 0.4989)
Na (0.1623, 0.3430, 0.5842)
Na (0.4917, 0.6188, 0.2478)
Na (0.1706, 0.3087, 0.9074)
Na (0.9871, 0.9636, 0.0003)
Na (0.6874, 0.3807, 0.2332)
Na (0.9936, 0.6303, 0.2399)
Na (0.6487, 0.6317, 0.1589)
Na (0.0005, 0.9946, 0.4995)
Na (0.3084, 0.6170, 0.7477)
Nb (0.0018, 0.0181, 0.6484)
Nb (0.4975, 0.0052, 0.1472)
Nb (0.9995, 0.9890, 0.1557)
Si (0.1439, 0.2964, 0.7513)
Si (0.1766, 0.0302, 0.5854)
Si (0.8504, 0.7023, 0.2487)
Si (0.3345, 0.6498, 0.5833)
Si (0.5099, 0.6628, 0.4135)
Si (0.3552, 0.7149, 0.2476)
Si (0.8387, 0.6563, 0.5905)
Si (0.8197, 0.6606, 0.9204)
Si (0.9912, 0.6643, 0.0910)
Si (0.6750, 0.3264, 0.0882)
Si (0.1465, 0.0000, 0.2478)
Si (0.8522, 0.0002, 0.7439)
Si (0.9978, 0.2866, 0.2453)
Si (0.3159, 0.6592, 0.9141)
Si (0.6533, 0.2993, 0.7548)
Si (0.5010, 0.2898, 0.2471)
Si (0.9836, 0.3276, 0.5898)
Si (0.4917, 0.6613, 0.0921)
La (0.6634, 0.6646, 0.0199)
La (0.4957, 0.9933, 0.8526)
La (0.1684, 0.6732, 0.0187)
La (0.8284, 0.3385, 0.6785)
La (0.1673, 0.6629, 0.8184)
La (0.3444, 0.3699, 0.9894)
La (0.3389, 0.3455, 0.1786)
La (0.5066, 0.0061, 0.6500)
La (0.6590, 0.6539, 0.3166)
La (0.9986, 0.9989, 0.3474)
La (0.3245, 0.3277, 0.6803)
La (0.5019, 0.9971, 0.3497)
La (0.3319, 0.3400, 0.4863)
La (0.8401, 0.3470, 0.1733)
La (0.8433, 0.3541, 0.4890)
La (0.1637, 0.6650, 0.5183)
La (0.1647, 0.6645, 0.3070)
La (0.6757, 0.6647, 0.8168)
La (0.6607, 0.6576, 0.5128)
La (0.8341, 0.3534, 0.9920)
La (0.9905, 0.9893, 0.8509)
S (0.4840, 0.3304, 0.5849)
S (0.6690, 0.9789, 0.9141)
S (0.8426, 0.0253, 0.0881)
S (0.1696, 0.9792, 0.9173)
S (0.6718, 0.3608, 0.4156)
S (0.0022, 0.7088, 0.7439)
S (0.3407, 0.0285, 0.0878)
S (0.6458, 0.9988, 0.2439)
S (0.5141, 0.3639, 0.9163)
S (0.1674, 0.3651, 0.4158)
S (0.0130, 0.6654, 0.4159)
S (0.0147, 0.3641, 0.9168)
S (0.1706, 0.3160, 0.0863)
S (0.3165, 0.9673, 0.4158)
S (0.3472, 0.9973, 0.7480)
S (0.6819, 0.0266, 0.5819)
S (0.8185, 0.9772, 0.4174)
S (0.4999, 0.6963, 0.7499)

Summary:
Space-group type ... No. 1
Electronic total energy ... -1618.230 eV/cell
Mass density ... 3.10 g/cm³
DFT formation energy ... -2.816 eV/atom